Entry 1:
Material: LiCeMg14
Method: DFT, PBE
State: optimized geometry

```
LiCeMg14
1.0
6.543 0.000 0.000
-3.271 5.666 0.000
0.000 0.000 10.292
Mg Li Ce
14 1 1
Cartesian
1.634 0.945 9.092
3.271 1.800 6.432
0.000 3.775 3.773
3.271 3.778 8.903
1.634 0.945 3.773
1.559 4.766 6.432
-1.559 4.766 6.432
3.271 1.887 1.286
3.271 3.778 3.962
-1.635 4.723 1.286
0.000 3.775 9.092
1.635 4.723 1.286
4.909 0.945 9.092
4.909 0.945 3.773
0.000 1.889 1.286
0.000 1.889 6.432
```

Properties
Density = 2.1 g cm⁻³
Symmetry = P-6m2, No. 187
Energy above the most stable polymorph in this dataset = 0 meV/atom
Formation enthalpy at 0 K = 0.039 eV per atom
Final energy = -1.852 eV per atom
Total moment = 0.000 μB/atom


Entry 2:
Material: LiCeMg6O8
Method: DFT, PBE
State: optimized geometry

```
LiCeMg6O8
1.0
-3.795 -3.195 -7.391
3.854 0.460 -2.178
1.164 -4.129 1.188
Li Mg Ce O
1 6 1 8
Cartesian
0.000 0.000 0.000
1.086 -0.478 -2.728
-1.026 -2.257 -6.841
-2.372 -4.551 -5.158
2.509 -1.834 -0.495
-0.259 -2.773 -1.045
0.612 -3.432 -4.191
-1.897 -1.598 -3.695
-2.885 -2.430 -5.620
1.927 0.230 -1.089
1.552 -2.640 -2.360
-0.909 -0.766 -1.771
0.030 -1.368 -4.784
0.582 -2.064 0.594
-1.316 -3.662 -3.102
-0.328 -4.224 -6.022
```

Properties
Density = 4.0 g cm⁻³
Symmetry = P4/mmm, No. 123
Energy above the most stable polymorph in this dataset = 55 meV/atom
Formation enthalpy at 0 K = -2.882 eV per atom
Corrected total energy (MP2020 scheme) = -6.446 eV per atom
Final energy = -6.102 eV per atom
Total moment = 0.056 μB/atom


Entry 3:
Material: LiCeMg6O8
Method: DFT, PBE
State: optimized geometry

```
LiCeMg6O8
1.0
8.966 0.000 0.000
0.000 4.409 0.000
0.000 0.000 4.409
O Mg Ce Li
8 6 1 1
Cartesian
4.483 2.204 0.000
6.558 2.204 2.204
0.000 0.000 2.204
0.000 2.204 0.000
2.380 0.000 0.000
2.408 2.204 2.204
4.483 0.000 2.204
6.586 0.000 0.000
6.567 2.204 0.000
4.483 0.000 0.000
2.399 2.204 0.000
2.399 0.000 2.204
4.483 2.204 2.204
6.567 0.000 2.204
0.000 2.204 2.204
0.000 0.000 0.000
```

Properties
Density = 4.0 g cm⁻³
Symmetry = P4/mmm, No. 123
Energy above the most stable polymorph in this dataset = 0 meV/atom
Formation enthalpy at 0 K = -2.936 eV per atom
Corrected total energy (MP2020 scheme) = -6.501 eV per atom
Final energy = -6.157 eV per atom
Total moment = 0.054 μB/atom


Question: The lowest final energy belongs to which entry?
Answer: number 3